<1>
Ba2MgNb6N2O14 | PBE | optimized geometry

Cell lengths 10.5935, 10.5935, 9.0804 Å; angles 91.23, 91.23, 21.86 degrees
Closest atoms and distances in Å follow each position.
Fractional positions:
Ba 0.0000 0.0000 0.0000  6 O 2.75-2.82
Ba 0.0343 0.0343 0.5173  6 O 2.68-2.79
Mg 0.7947 0.7947 0.1890  5 O 1.98-2.05
Nb 0.2413 0.2413 0.9752  1 O 1.82
Nb 0.3792 0.3792 0.6898  4 O 1.87-2.08
Nb 0.3881 0.3881 0.3231  4 O 1.85-2.03
Nb 0.6454 0.6454 0.2072  2 O 1.81-1.98
Nb 0.6483 0.6483 0.8154  3 O 1.85-2.04, 1 N 1.96
Nb 0.7782 0.7782 0.5280  1 N 1.84, 1 O 2.02
N 0.3089 0.3089 0.5049  4 Nb 2.12-2.36
N 0.7182 0.7182 0.6741  2 Nb 1.84-1.96
O 0.1499 0.1499 0.8519  3 Nb 2.04-2.19
O 0.1627 0.1627 0.1697  2 Nb 2.07
O 0.3061 0.3061 0.8429  1 Nb 1.82
O 0.3088 0.3088 0.1575  2 Mg 2.05, 2 Nb 2.15-2.21
O 0.4415 0.4415 0.5051  2 Nb 1.97-2.14
O 0.4462 0.4462 0.8312  1 Nb 1.87
O 0.4527 0.4527 0.1867  1 Nb 1.85
O 0.5774 0.5774 0.6882  1 Nb 1.85
O 0.5826 0.5826 0.3425  1 Nb 1.81
O 0.5947 0.5947 0.0207  2 Nb 1.98-2.19
O 0.7264 0.7264 0.3376  1 Mg 1.98, 2 Nb 2.02-2.04
O 0.7298 0.7298 0.0164  1 Mg 2.05, 2 Nb 2.06
O 0.8691 0.8691 0.6620  3 Nb 2.03-2.23
O 0.8724 0.8724 0.3246  1 Mg 2.01, 2 Nb 2.03

Symmetry: Cm

***

<2>
Ba2MgNb6N2O14 | PBE | optimized geometry

Cell lengths 10.7865, 10.7865, 9.1687 Å; angles 101.32, 101.32, 21.51 degrees
Closest atoms and distances in Å follow each position.
Fractional positions:
Ba 0.0000 0.0000 0.0000  8 O 2.92-3.23, 2 N 2.99
Ba 0.1544 0.1544 0.3464  6 O 2.73-2.95
Mg 0.6189 0.6189 0.6956  4 O 1.96-2.03
Nb 0.3532 0.3532 0.9499  3 N 1.89-2.10, 1 O 2.02
Nb 0.4753 0.4753 0.6726  5 O 1.91-2.10
Nb 0.4851 0.4851 0.3137  4 O 1.91-2.10, 1 N 2.02
Nb 0.7481 0.7481 0.0508  4 O 1.85-2.05
Nb 0.7690 0.7690 0.6916  4 O 1.89-2.02
Nb 0.8858 0.8858 0.4143  2 O 1.80-2.00
N 0.4196 0.4196 0.1210  2 Nb 1.89-2.02
N 0.8275 0.8275 0.9084  4 Nb 2.10-2.33
O 0.2668 0.2668 0.0512  3 Nb 2.05-2.21
O 0.2719 0.2719 0.7154  2 Nb 2.02
O 0.4061 0.4061 0.4587  3 Nb 2.08-2.20
O 0.4197 0.4197 0.8195  2 Nb 1.96-2.02
O 0.5412 0.5412 0.5296  1 Mg 2.01, 2 Nb 2.10
O 0.5512 0.5512 0.8246  1 Nb 1.91, 1 Mg 2.03
O 0.5572 0.5572 0.2169  1 Nb 1.91
O 0.6823 0.6823 0.5606  1 Nb 1.98, 1 Mg 2.00
O 0.6927 0.6927 0.1834  1 Nb 1.85
O 0.6948 0.6948 0.8573  1 Nb 1.90, 1 Mg 1.96
O 0.8216 0.8216 0.5470  2 Nb 1.89-2.00
O 0.8282 0.8282 0.2412  1 Nb 1.80
O 0.9618 0.9618 0.6409  2 Nb 2.05
O 0.9794 0.9794 0.3245  2 Nb 2.02

Symmetry: Cm

***

<3>
Ba2MgNb6N2O14 | PBE | optimized geometry

Cell lengths 10.6210, 10.6210, 9.1189 Å; angles 91.62, 91.62, 21.74 degrees
Closest atoms and distances in Å follow each position.
Fractional positions:
Ba 0.0000 0.0000 0.0000  6 O 2.68-2.90
Ba 0.0346 0.0346 0.5197  6 O 2.71-2.82
Mg 0.2465 0.2465 0.3341  4 O 2.01-2.05, 1 N 2.06
Nb 0.2601 0.2601 0.9932  2 O 1.81-1.97
Nb 0.3901 0.3901 0.6864  4 O 1.89-2.05
Nb 0.3933 0.3933 0.3138  3 O 1.84-2.02
Nb 0.6488 0.6488 0.2062  2 O 1.81-1.92
Nb 0.6600 0.6600 0.8172  1 O 1.84, 1 N 1.92
Nb 0.7950 0.7950 0.5486  3 N 1.86-2.08
N 0.3140 0.3140 0.5039  1 Mg 2.06, 3 Nb 2.08-2.27
N 0.7303 0.7303 0.6850  2 Nb 1.86-1.92
O 0.1693 0.1693 0.8716  3 Nb 2.07-2.17
O 0.1713 0.1713 0.1904  1 Mg 2.01, 2 Nb 2.06
O 0.3121 0.3121 0.1763  2 Nb 1.97-2.08, 1 Mg 2.01
O 0.3213 0.3213 0.8565  1 Nb 1.81
O 0.4474 0.4474 0.5076  2 Nb 2.05-2.07
O 0.4562 0.4562 0.1770  1 Nb 1.84
O 0.4582 0.4582 0.8277  1 Nb 1.89
O 0.5854 0.5854 0.3383  1 Nb 1.81
O 0.5899 0.5899 0.6900  1 Nb 1.84
O 0.6003 0.6003 0.0236  1 Nb 1.92
O 0.7283 0.7283 0.3580  2 Mg 2.05, 2 Nb 2.13-2.19
O 0.7342 0.7342 0.0155  2 Nb 2.09
O 0.8849 0.8849 0.3397  2 Nb 2.02
O 0.8853 0.8853 0.6780  3 Nb 2.01-2.19

Symmetry: Cm

***

<4>
Ba2MgNb6N2O14 | PBE | optimized geometry

Cell lengths 4.0670, 8.9405, 10.6136 Å; angles 91.27, 101.04, 90.01 degrees
Closest atoms and distances in Å follow each position.
Fractional positions:
Ba 0.0000 0.0000 0.0000  11 O 2.80-2.99
Ba 0.1530 0.4881 0.3050  6 O 2.72-2.81
Mg 0.6327 0.0056 0.2664  3 O 1.90-1.94
Nb 0.3670 0.9910 0.7339  5 O 1.94-2.15
Nb 0.5026 0.3184 0.0057  5 O 2.01-2.10, 1 N 2.12
Nb 0.5045 0.6763 0.0085  5 O 2.00-2.12, 1 N 2.12
Nb 0.7737 0.7897 0.5474  1 O 1.82, 1 N 1.95
Nb 0.7778 0.1971 0.5547  2 O 1.81-1.92
Nb 0.9071 0.5106 0.8141  1 N 1.84, 1 O 1.95
N 0.4366 0.4952 0.8733  4 Nb 2.12-2.13
N 0.8466 0.6573 0.6930  2 Nb 1.84-1.95
O 0.0014 0.3226 0.0030  2 Nb 2.03
O 0.2865 0.8353 0.5731  3 Nb 2.09-2.15
O 0.2919 0.1570 0.5835  3 Nb 2.09-2.18
O 0.4341 0.8436 0.8677  2 Nb 1.94-2.12
O 0.4350 0.1503 0.8702  2 Nb 1.99-2.04
O 0.5666 0.5035 0.1328  2 Nb 2.04-2.10
O 0.5711 0.1660 0.1443  1 Mg 1.94, 1 Nb 2.01
O 0.5707 0.8424 0.1399  1 Mg 1.94, 1 Nb 2.00
O 0.7041 0.6628 0.4083  1 Nb 1.82
O 0.7092 0.3178 0.4170  1 Nb 1.81
O 0.7241 0.9975 0.4484  1 Mg 1.90, 1 Nb 2.08
O 0.8498 0.3352 0.6992  2 Nb 1.92-1.95
O 0.8567 0.9960 0.7133  2 Nb 2.05
O 0.9990 0.6708 0.9973  2 Nb 2.04

Symmetry: P1

***

Compare the structures above. Which one is the most stable? <3> is.